Entry from the Materials Project database: an optimized crystal structure of KBiS2 (GGA-PBE).

Cell: 4.1647 4.1647 22.4215 Å, 90.00 90.00 120.00°
Closest atoms and distances in Å follow each position.
Space group R-3m (No. 166, hexagonal axes)
Symmetry-distinct sites (fractional):
K (0.0000, 0.0000, 0.0000)  6 S 3.24
Bi (0.0000, 0.0000, 0.5000)  6 S 2.87
S (0.0000, 0.0000, 0.2366)  3 Bi 2.87

E, eV per atom: -4.11
Calculated formation energy, eV/atom: -1.043